1.
Computed, not measured: crystalline Na20Zr11Si10P8O72 at its relaxed geometry at the PBE level of DFT.

Results
theoretical density = 3.073 g/cm3
calculated total energy = -893.65 eV/f.u.
ΔE_f = -3.048 eV/atom

Unit cell a=9.1713 b=9.1886 c=23.2431 alpha=89.92 beta=89.87 gamma=60.15
With the nearest neighbours (Å) after each atom.
Space group P1 (No. 1)
Asymmetric unit:
Na: 0.0000 0.0000 0.0000 x1  3 O 2.18-2.40
Na: 0.0006 0.3439 0.4039 x1  5 O 2.41-2.66
Na: 0.0095 0.6489 0.2585 x1  3 O 2.31-2.50
Na: 0.0159 0.6853 0.8998 x1  7 O 2.45-2.73
Na: 0.0432 0.0031 0.4781 x1  5 O 2.42-2.68
Na: 0.0542 0.2220 0.0860 x1  3 O 2.22-2.34
Na: 0.0616 0.6753 0.5552 x1  5 O 2.45-2.57
Na: 0.2693 0.7383 0.0862 x1  3 O 2.17-2.35
Na: 0.3163 0.9869 0.9407 x1  5 O 2.39-2.61
Na: 0.3372 0.0172 0.5672 x1  5 O 2.42-2.55
Na: 0.3657 0.9836 0.2090 x1  3 O 2.25-2.40
Na: 0.3780 0.3492 0.1499 x1  4 O 2.49-2.66
Na: 0.3799 0.3361 0.6512 x1  5 O 2.41-2.65
Na: 0.3914 0.6369 0.7326 x1  6 O 2.41-2.63
Na: 0.4422 0.6778 0.3578 x1  4 O 2.26-2.53
Na: 0.6873 0.3542 0.2220 x1  2 O 2.16-2.38
Na: 0.7116 0.9480 0.3786 x1  5 O 2.44-2.69
Na: 0.7187 0.6993 0.8112 x1  5 O 2.40-2.68
Na: 0.7263 0.3426 0.8856 x1  5 O 2.44-2.69
Na: 0.7482 0.0295 0.0964 x1  3 O 2.20-2.30
Zr: 0.0256 0.0019 0.8327 x1  6 O 2.01-2.23
Zr: 0.0260 0.0048 0.6336 x1  5 O 1.98-2.21
Zr: 0.0355 0.9888 0.3313 x1  5 O 2.01-2.20
Zr: 0.3612 0.3336 0.7930 x1  6 O 2.01-2.22
Zr: 0.3619 0.3297 0.0061 x1  6 O 2.06-2.24
Zr: 0.3649 0.3349 0.5049 x1  6 O 2.03-2.27
Zr: 0.3706 0.3249 0.3042 x1  6 O 2.05-2.20
Zr: 0.6922 0.6650 0.1668 x1  6 O 2.05-2.22
Zr: 0.6921 0.6714 0.4687 x1  6 O 2.02-2.18
Zr: 0.6999 0.6538 0.6729 x1  6 O 2.06-2.22
Zr: 0.7062 0.6638 0.9618 x1  3 O 1.93-2.07
Si: 0.0275 0.7088 0.7365 x1  4 O 1.63-1.66
Si: 0.0715 0.6374 0.4052 x1  4 O 1.62-1.67
Si: 0.0757 0.3305 0.8985 x1  4 O 1.64-1.65
Si: 0.3358 0.6853 0.2319 x1  4 O 1.57-1.71
Si: 0.3538 0.0488 0.4120 x1  4 O 1.62-1.66
Si: 0.4032 0.6613 0.5747 x1  4 O 1.63-1.66
Si: 0.4267 0.9615 0.0600 x1  4 O 1.61-1.66
Si: 0.6737 0.3923 0.0652 x1  4 O 1.59-1.66
Si: 0.7185 0.0080 0.2331 x1  4 O 1.58-1.71
Si: 0.7340 0.2966 0.7343 x1  4 O 1.64-1.65
P: 0.0393 0.2956 0.2332 x1  4 O 1.51-1.57
P: 0.3223 0.9997 0.7290 x1  4 O 1.54-1.56
P: 0.3642 0.6250 0.8957 x1  4 O 1.54-1.56
P: 0.6565 0.0477 0.8984 x1  4 O 1.54-1.58
P: 0.6610 0.3270 0.4046 x1  4 O 1.54-1.56
P: 0.6956 0.9559 0.5691 x1  4 O 1.54-1.56
P: 0.9865 0.6495 0.0572 x1  4 O 1.51-1.57
P: 0.9921 0.3714 0.5669 x1  4 O 1.55-1.57
O: 0.0028 0.1894 0.2782 x1  1 P 1.57
O: 0.0039 0.8042 0.7986 x1  1 Si 1.65
O: 0.0241 0.1888 0.5686 x1  1 P 1.55
O: 0.0400 0.8294 0.4006 x1  1 Si 1.64
O: 0.0572 0.8171 0.6853 x1  1 Si 1.66
O: 0.0645 0.1587 0.8880 x1  1 Si 1.65
O: 0.1210 0.2006 0.1784 x1  1 P 1.51
O: 0.1631 0.3405 0.2636 x1  1 P 1.56
O: 0.1650 0.3673 0.5696 x1  1 P 1.57
O: 0.1645 0.4901 0.0633 x1  1 P 1.57
O: 0.1710 0.5285 0.3491 x1  1 Si 1.62
O: 0.1742 0.3689 0.8467 x1  1 Si 1.64
O: 0.1841 0.0463 0.3918 x1  1 Si 1.64
O: 0.1843 0.5390 0.4631 x1  1 Si 1.67
O: 0.1875 0.2984 0.9570 x1  1 Si 1.64
O: 0.2025 0.5258 0.7369 x1  1 Si 1.65
O: 0.2058 0.8040 0.8927 x1  1 P 1.56
O: 0.2125 0.8299 0.5711 x1  1 Si 1.66
O: 0.2166 0.9729 0.7760 x1  1 P 1.56
O: 0.2187 0.7569 0.1778 x1  1 Si 1.57
O: 0.2354 0.0212 0.6697 x1  1 P 1.56
O: 0.2351 0.8015 0.2916 x1  1 Si 1.71
O: 0.2521 0.9746 0.0404 x1  1 Si 1.61
O: 0.3145 0.1480 0.4745 x1  1 Si 1.66
O: 0.3331 0.5296 0.9444 x1  1 P 1.54
O: 0.3371 0.1567 0.7410 x1  1 P 1.54
O: 0.3821 0.4949 0.5646 x1  1 Si 1.65
O: 0.3869 0.4870 0.2452 x1  1 Si 1.67
O: 0.3956 0.5278 0.8378 x1  1 P 1.56
O: 0.4084 0.1517 0.3686 x1  1 Si 1.62
O: 0.4115 0.1488 0.0674 x1  1 Si 1.66
O: 0.4872 0.4076 0.0599 x1  1 Si 1.65
O: 0.4950 0.6450 0.6363 x1  1 Si 1.63
O: 0.4988 0.8401 0.7300 x1  1 P 1.55
O: 0.5052 0.8607 0.1209 x1  1 Si 1.65
O: 0.5138 0.8539 0.4154 x1  1 Si 1.66
O: 0.5148 0.6896 0.2304 x1  1 Si 1.66
O: 0.5180 0.1196 0.2545 x1  1 Si 1.67
O: 0.5182 0.6862 0.5254 x1  1 Si 1.65
O: 0.5198 0.6466 0.9057 x1  1 P 1.55
O: 0.5352 0.1310 0.5656 x1  1 P 1.55
O: 0.5454 0.3192 0.7338 x1  1 Si 1.64
O: 0.5567 0.1473 0.8446 x1  1 P 1.55
O: 0.5579 0.8721 0.0060 x1  1 Si 1.65
O: 0.5585 0.3649 0.3489 x1  1 P 1.54
O: 0.5655 0.1507 0.9525 x1  1 P 1.54
O: 0.5716 0.2898 0.4549 x1  1 P 1.56
O: 0.6689 0.8575 0.6177 x1  1 P 1.54
O: 0.6713 0.4877 0.4184 x1  1 P 1.56
O: 0.6717 0.4760 0.1279 x1  1 Si 1.64
O: 0.6781 0.8691 0.8963 x1  1 P 1.55
O: 0.6837 0.5125 0.0139 x1  1 Si 1.66
O: 0.7097 0.4870 0.7341 x1  1 Si 1.65
O: 0.7271 0.8562 0.5118 x1  1 P 1.56
O: 0.7411 0.1173 0.1850 x1  1 Si 1.58
O: 0.7549 0.8198 0.2143 x1  1 Si 1.65
O: 0.8263 0.2072 0.0546 x1  1 Si 1.59
O: 0.8372 0.0279 0.8978 x1  1 P 1.58
O: 0.8365 0.2010 0.7932 x1  1 Si 1.64
O: 0.8409 0.1781 0.3978 x1  1 P 1.54
O: 0.8430 0.1894 0.6784 x1  1 Si 1.64
O: 0.8452 0.9722 0.2913 x1  1 Si 1.71
O: 0.8570 0.9685 0.5780 x1  1 P 1.55
O: 0.8634 0.6897 0.7238 x1  1 Si 1.63
O: 0.8723 0.6316 0.1019 x1  1 P 1.54
O: 0.8750 0.4629 0.2238 x1  1 P 1.54
O: 0.8823 0.4915 0.8988 x1  1 Si 1.65
O: 0.8846 0.4787 0.6181 x1  1 P 1.55
O: 0.8865 0.6481 0.4116 x1  1 Si 1.66
O: 0.9022 0.4573 0.5101 x1  1 P 1.55
O: 0.9253 0.6441 0.9944 x1  1 P 1.57
O: 0.9940 0.8097 0.0625 x1  1 P 1.51

***

2.
Computed, not measured: crystalline Na7Zr4Si5PO24 at its relaxed geometry at the PBE level of DFT.

Results
theoretical density = 3.179 g/cm3
calculated total energy = -306.66 eV/f.u.
relative energy among the computed polymorphs = 0 meV/atom
ΔE_f = -3.132 eV/atom

Unit cell a=9.2333 b=9.2400 c=9.2709 alpha=60.84 beta=60.28 gamma=60.18
With the nearest neighbours (Å) after each atom.
Space group P1 (No. 1)
Asymmetric unit:
Na: 0.0000 0.0000 0.0000 x1  7 O 2.48-2.72
Na: 0.0976 0.3993 0.7513 x1  6 O 2.45-2.72
Na: 0.2286 0.7916 0.4869 x1  5 O 2.43-2.63
Na: 0.3665 0.2892 0.9664 x1  5 O 2.43-2.67
Na: 0.5677 0.0771 0.3171 x1  4 O 2.35-2.52
Na: 0.6859 0.6468 0.0949 x1  4 O 2.41-2.68
Na: 0.8510 0.5197 0.5084 x1  5 O 2.50-2.53
Zr: 0.2563 0.5424 0.3088 x1  6 O 2.03-2.26
Zr: 0.4566 0.7502 0.6953 x1  5 O 2.01-2.14
Zr: 0.7614 0.0348 0.8156 x1  6 O 2.03-2.20
Zr: 0.9611 0.2359 0.1975 x1  6 O 2.03-2.17
Si: 0.0716 0.6388 0.9967 x1  4 O 1.64-1.65
Si: 0.1424 0.1442 0.5170 x1  4 O 1.64-1.65
Si: 0.3561 0.9291 0.0138 x1  4 O 1.63-1.64
Si: 0.6596 0.3593 0.9874 x1  4 O 1.63-1.65
Si: 0.8599 0.8575 0.4909 x1  4 O 1.63-1.65
P: 0.5568 0.4316 0.5130 x1  4 O 1.54-1.56
O: 0.0266 0.6701 0.4917 x1  1 Si 1.65
O: 0.0381 0.4626 0.0371 x1  1 Si 1.64
O: 0.0876 0.1653 0.3616 x1  1 Si 1.65
O: 0.1090 0.6252 0.1599 x1  1 Si 1.65
O: 0.1703 0.3236 0.4780 x1  1 Si 1.64
O: 0.1934 0.1177 0.0200 x1  1 Si 1.64
O: 0.2441 0.6556 0.8180 x1  1 Si 1.64
O: 0.3251 0.9732 0.5203 x1  1 Si 1.64
O: 0.3306 0.7671 0.2001 x1  1 Si 1.64
O: 0.3595 0.8758 0.8673 x1  1 Si 1.64
O: 0.3790 0.4582 0.5087 x1  1 P 1.55
O: 0.4887 0.4038 0.1614 x1  1 Si 1.65
O: 0.5383 0.9557 0.9663 x1  1 Si 1.63
O: 0.5486 0.6068 0.5065 x1  1 P 1.56
O: 0.5901 0.2812 0.6807 x1  1 P 1.54
O: 0.6299 0.5183 0.8090 x1  1 Si 1.63
O: 0.6650 0.1735 0.9973 x1  1 Si 1.65
O: 0.6820 0.8275 0.5287 x1  1 Si 1.64
O: 0.7138 0.3883 0.3474 x1  1 P 1.56
O: 0.8403 0.3346 0.0035 x1  1 Si 1.64
O: 0.8457 0.9216 0.6350 x1  1 Si 1.63
O: 0.8905 0.0135 0.2988 x1  1 Si 1.65
O: 0.8912 0.8085 0.9790 x1  1 Si 1.64
O: 0.9791 0.1178 0.7029 x1  1 Si 1.64

***

3.
Computed, not measured: crystalline NaSmP4O12 at its relaxed geometry at the PBE level of DFT.

Results
theoretical density = 3.374 g/cm3
calculated total energy = -131.12 eV/f.u.
ΔE_f = -2.905 eV/atom

Unit cell a=7.2838 b=13.2495 c=12.3082 alpha=90.00 beta=125.83 gamma=90.00
With the nearest neighbours (Å) after each atom.
Space group P2_1/c (No. 14)
Asymmetric unit:
Na: 0.0649 0.2218 0.0645 x4  5 O 2.41-2.59
Sm: 0.4641 0.2184 0.9770 x4  8 O 2.38-2.51
P: 0.0062 0.6010 0.2565 x4  4 O 1.51-1.61
P: 0.1143 0.6149 0.7362 x4  4 O 1.50-1.61
P: 0.3419 0.6278 0.1960 x4  4 O 1.50-1.61
P: 0.4297 0.0906 0.6984 x4  4 O 1.50-1.62
O: 0.0744 0.5135 0.7900 x4  2 P 1.60-1.61
O: 0.0946 0.1458 0.8974 x4  1 P 1.50
O: 0.0950 0.6237 0.1664 x4  2 P 1.61
O: 0.1914 0.6084 0.4044 x4  1 P 1.51
O: 0.2014 0.1652 0.2964 x4  1 P 1.51
O: 0.2170 0.6891 0.8493 x4  1 P 1.50
O: 0.2975 0.5804 0.7099 x4  2 P 1.61-1.62
O: 0.3231 0.7093 0.1047 x4  1 P 1.51
O: 0.3447 0.1611 0.5824 x4  1 P 1.50
O: 0.3515 0.5216 0.1352 x4  2 P 1.61-1.62
O: 0.3636 0.1113 0.7912 x4  1 P 1.50
O: 0.4776 0.1336 0.1562 x4  1 P 1.50

***

4.
Computed, not measured: crystalline NaTiSnP3O12 at its relaxed geometry at the PBE level of DFT.

Results
theoretical density = 3.215 g/cm3
calculated total energy = -130.47 eV/f.u.
ΔE_f = -2.770 eV/atom

Unit cell a=8.6653 b=8.6653 c=22.6105 alpha=90.00 beta=90.00 gamma=120.00
With the nearest neighbours (Å) after each atom.
Space group P3 (No. 143)
Asymmetric unit:
Na: 0.0000 0.0000 0.0000 x1  6 O 2.55
Na: 0.0000 0.0000 0.4979 x1  6 O 2.53-2.58
Na: 0.3333 0.6667 0.1667 x1  6 O 2.58
Na: 0.3333 0.6667 0.6648 x1  6 O 2.54-2.60
Na: 0.6667 0.3333 0.3335 x1  6 O 2.56-2.58
Na: 0.6667 0.3333 0.8334 x1  6 O 2.55-2.57
Ti: 0.0000 0.0000 0.1456 x1  6 O 1.95-1.99
Ti: 0.0000 0.0000 0.3521 x1  6 O 1.93-2.01
Ti: 0.3333 0.6667 0.3133 x1  6 O 1.94-2.01
Ti: 0.3333 0.6667 0.5180 x1  6 O 1.94-1.98
Ti: 0.6667 0.3333 0.4787 x1  6 O 1.94-2.00
Ti: 0.6667 0.3333 0.9791 x1  6 O 1.96-1.97
Sn: 0.0000 0.0000 0.6453 x1  6 O 2.03-2.06
Sn: 0.0000 0.0000 0.8520 x1  6 O 2.02-2.04
Sn: 0.3333 0.6667 0.0186 x1  6 O 2.02-2.04
Sn: 0.3333 0.6667 0.8135 x1  6 O 2.04-2.05
Sn: 0.6667 0.3333 0.1855 x1  6 O 2.02-2.07
Sn: 0.6667 0.3333 0.6843 x1  6 O 2.03-2.05
P: 0.9999 0.2919 0.7490 x3  4 O 1.54
P: 0.0025 0.7150 0.2496 x3  4 O 1.54-1.55
P: 0.0393 0.6643 0.9163 x3  4 O 1.54
P: 0.0459 0.3790 0.4157 x3  4 O 1.55
P: 0.3761 0.0451 0.0821 x3  4 O 1.54-1.55
P: 0.3785 0.3362 0.5807 x3  4 O 1.54-1.55
O: 0.0213 0.8323 0.9108 x3  1 P 1.54
O: 0.0260 0.1927 0.4074 x3  1 P 1.55
O: 0.0303 0.8300 0.1937 x3  1 P 1.55
O: 0.0366 0.2145 0.6928 x3  1 P 1.54
O: 0.1152 0.6270 0.8601 x3  1 P 1.54
O: 0.1333 0.4970 0.3605 x3  1 P 1.55
O: 0.1420 0.4977 0.0763 x3  1 P 1.55
O: 0.1438 0.6422 0.5726 x3  1 P 1.54
O: 0.1557 0.7036 0.9718 x3  1 P 1.54
O: 0.1633 0.4663 0.4709 x3  1 P 1.55
O: 0.1680 0.4774 0.7542 x3  1 P 1.54
O: 0.1687 0.6949 0.2575 x3  1 P 1.54
O: 0.1904 0.0268 0.0899 x3  1 P 1.55
O: 0.1924 0.1665 0.5859 x3  1 P 1.55
O: 0.1978 0.1696 0.3047 x3  1 P 1.55
O: 0.2145 0.0364 0.8052 x3  1 P 1.54
O: 0.4652 0.1630 0.0270 x3  1 P 1.55
O: 0.4684 0.3046 0.5267 x3  1 P 1.54
O: 0.4719 0.3063 0.2445 x3  1 P 1.55
O: 0.4774 0.1680 0.7440 x3  1 P 1.54
O: 0.4882 0.3721 0.6379 x3  1 P 1.54
O: 0.4889 0.1192 0.1384 x3  1 P 1.54
O: 0.5002 0.1406 0.4240 x3  1 P 1.55
O: 0.5028 0.3568 0.9245 x3  1 P 1.54

***

5.
Computed, not measured: crystalline NaTiSnP3O12 at its relaxed geometry at the PBE level of DFT.

Results
theoretical density = 3.230 g/cm3
calculated total energy = -130.48 eV/f.u.
ΔE_f = -2.771 eV/atom

Unit cell a=8.6807 b=8.6807 c=22.4248 alpha=90.00 beta=90.00 gamma=120.00
With the nearest neighbours (Å) after each atom.
Space group R3c (No. 161, hexagonal axes)
Asymmetric unit:
Na: 0.0000 0.0000 0.0000 x6  6 O 2.51-2.54
Ti: 0.0000 0.0000 0.3555 x6  6 O 1.95-2.00
Sn: 0.0000 0.0000 0.1478 x6  6 O 2.01-2.05
P: 0.0445 0.3761 0.4182 x18  4 O 1.53-1.55
O: 0.0278 0.1910 0.4121 x18  1 P 1.55
O: 0.0285 0.2106 0.6944 x18  1 P 1.53
O: 0.1608 0.4703 0.4735 x18  1 P 1.55
O: 0.1639 0.4758 0.7557 x18  1 P 1.54